The following is a PBE-GGA calculation of a relaxed structure of SmN, from the Materials Project database.

ΔE_f = -1.657 eV per atom
symmetry = Fm-3m (225)
V = 16.33 A^3/atom

The structure in POSCAR format:
```
SmN
1.0
0.0000 2.5371 2.5371
2.5371 0.0000 2.5371
2.5371 2.5371 0.0000
N Sm
1 1
direct
0.0000 0.0000 0.0000
0.5000 0.5000 0.5000
```

=====

The following is a PBE-GGA calculation of a relaxed structure of Cs2HgBiBr6, from the Materials Project database.

ΔE_f = -1.428 eV per atom
symmetry = Fm-3m (225)
V = 40.56 A^3/atom

The structure in POSCAR format:
```
Cs2HgBiBr6
1.0
0.0000 5.8754 5.8754
5.8754 0.0000 5.8754
5.8754 5.8754 0.0000
Br Cs Hg Bi
6 2 1 1
direct
0.2454 0.7546 0.7546
0.2454 0.2454 0.7546
0.2454 0.7546 0.2454
0.7546 0.2454 0.2454
0.7546 0.2454 0.7546
0.7546 0.7546 0.2454
0.2500 0.2500 0.2500
0.7500 0.7500 0.7500
0.5000 0.5000 0.5000
0.0000 0.0000 0.0000
```

=====

The following is a PBE-GGA calculation of a relaxed structure of NpOs2, from the Materials Project database.

ΔE_f = 0.195 eV per atom
symmetry = Fd-3m (227)
V = 17.45 A^3/atom

The structure in POSCAR format:
```
NpOs2
1.0
-3.7408 -3.7408 0.0000
-3.7408 0.0000 -3.7408
0.0000 -3.7408 -3.7408
Np Os
2 4
direct
0.5000 0.5000 0.5000
0.2500 0.2500 0.2500
0.8750 0.3750 0.8750
0.3750 0.8750 0.8750
0.8750 0.8750 0.3750
0.8750 0.8750 0.8750
```

=====

The following is a PBE-GGA calculation of a relaxed structure of Sm4Tm11S22, from the Materials Project database.

ΔE_f = -2.343 eV per atom
symmetry = C2/m (12)
V = 23.07 A^3/atom

The structure in POSCAR format:
```
Sm4Tm11S22
1.0
9.4207 -16.6873 -3.5827
12.4825 -14.3563 -4.2583
3.0735 -0.9055 10.8041
S Tm Sm
22 11 4
direct
0.2803 0.2803 0.4103
0.1350 0.1350 0.5453
0.7452 0.7452 0.1196
0.5928 0.5928 0.7895
0.8116 0.8116 0.6911
0.6492 0.6492 0.0932
0.4446 0.4446 0.5067
0.4072 0.4072 0.2105
0.5554 0.5554 0.4933
0.8316 0.8316 0.1500
0.2548 0.2548 0.8804
0.7197 0.7197 0.5897
0.0884 0.0884 0.2463
0.3508 0.3508 0.9068
0.5475 0.5475 0.0306
0.0078 0.0078 0.7606
0.9922 0.9922 0.2394
0.9116 0.9116 0.7537
0.1884 0.1884 0.3089
0.8650 0.8650 0.4547
0.4525 0.4525 0.9694
0.1684 0.1684 0.8500
0.2020 0.2020 0.0585
0.5387 0.5387 0.2705
0.7361 0.7361 0.3524
0.9301 0.9301 0.3597
0.0000 0.0000 0.0000
0.0699 0.0699 0.6403
0.2639 0.2639 0.6476
0.7980 0.7980 0.9415
0.3425 0.3425 0.3016
0.4613 0.4613 0.7295
0.6575 0.6575 0.6984
0.8951 0.8951 0.0117
0.3671 0.3671 0.6520
0.6329 0.6329 0.3480
0.1049 0.1049 0.9883
```